[1]
First-principles (PBE with a Hubbard U) data for crystalline LiCo4O8 at its relaxed geometry, as listed in the Materials Project.

Values from the calculation:
theoretical density	4.4	g/cm³
final energy	-5.7495	eV/atom
energy above the lowest structure with this stoichiometry	7	meV per atom
size of the total moment	0.23	μB/atom

abc: 5.6516 5.9759 8.2833
angles: 93.86 90.11 90.11
Element x y z (fractional)
Li 0.0000 0.0000 0.0000
Li 0.5000 0.5000 0.5000
Co 0.0000 0.0000 0.5000
Co 0.0000 0.5000 0.0000
Co 0.2494 0.2482 0.7471
Co 0.2485 0.7520 0.2529
Co 0.5000 0.0000 0.5000
Co 0.5000 0.5000 0.0000
Co 0.7515 0.2480 0.7471
Co 0.7506 0.7518 0.2529
O 0.0003 0.0387 0.7325
O 0.0004 0.4590 0.7684
O 0.9996 0.5410 0.2316
O 0.9997 0.9613 0.2675
O 0.2363 0.7227 0.0236
O 0.2381 0.2786 0.9771
O 0.2544 0.2136 0.5193
O 0.2542 0.7865 0.4809
O 0.4993 0.5444 0.2445
O 0.5000 0.0377 0.7283
O 0.5000 0.9623 0.2717
O 0.5007 0.4556 0.7555
O 0.7458 0.2135 0.5191
O 0.7456 0.7864 0.4807
O 0.7619 0.7214 0.0229
O 0.7637 0.2773 0.9764

---

[2]
First-principles (PBE with a Hubbard U) data for crystalline LiCo5SbO8 at its relaxed geometry, as listed in the Materials Project.

Values from the calculation:
theoretical density	5.3	g/cm³
final energy	-5.8909	eV/atom
energy above the lowest structure with this stoichiometry	49	meV per atom
size of the total moment	1.00	μB/atom

abc: 6.2746 6.2746 6.1439
angles: 119.03 119.03 58.33
Element x y z (fractional)
Li 0.0000 0.0000 0.0000
Co 0.2526 0.2526 0.2756
Co 0.3351 0.8485 0.6511
Co 0.4649 0.4649 0.0305
Co 0.7860 0.7860 0.5796
Co 0.8485 0.3351 0.6511
Sb 0.8356 0.8356 0.1500
O 0.0580 0.6225 0.8993
O 0.0625 0.0625 0.3658
O 0.0672 0.6298 0.4075
O 0.1195 0.1195 0.8931
O 0.5746 0.5746 0.4160
O 0.6143 0.6143 0.9201
O 0.6225 0.0580 0.8993
O 0.6298 0.0672 0.4075

---

[3]
First-principles (PBE with a Hubbard U) data for crystalline Li2CoSiO4 at its relaxed geometry, as listed in the Materials Project.

Values from the calculation:
theoretical density	3.2	g/cm³
final energy	-6.4039	eV/atom
energy above the lowest structure with this stoichiometry	80	meV per atom
size of the total moment	0.38	μB/atom

abc: 8.7256 5.0387 11.5336
angles: 90.00 90.03 90.00
Element x y z (fractional)
Li 0.0592 0.0000 0.2475
Li 0.1638 0.6702 0.5809
Li 0.2233 0.4924 0.0859
Li 0.2764 0.9922 0.9139
Li 0.3353 0.1705 0.4190
Li 0.4405 0.4998 0.7528
Li 0.5595 0.4998 0.2472
Li 0.6647 0.1705 0.5810
Li 0.7236 0.9922 0.0861
Li 0.7767 0.4924 0.9141
Li 0.8362 0.6702 0.4191
Li 0.9408 0.0000 0.7525
Co 0.0000 0.9262 0.0000
Co 0.2307 0.6188 0.3336
Co 0.2702 0.1179 0.6663
Co 0.5000 0.4255 0.0000
Co 0.7298 0.1179 0.3337
Co 0.7693 0.6188 0.6664
Si 0.0000 0.2005 0.5000
Si 0.0937 0.4811 0.8333
Si 0.4063 0.9810 0.1664
Si 0.5000 0.6997 0.5000
Si 0.5937 0.9810 0.8336
Si 0.9063 0.4811 0.1667
O 0.0575 0.0114 0.6089
O 0.0703 0.1674 0.8719
O 0.0751 0.6034 0.2053
O 0.1452 0.3924 0.4614
O 0.1597 0.6617 0.9422
O 0.2166 0.4892 0.7243
O 0.2834 0.9895 0.2754
O 0.3402 0.1617 0.0576
O 0.3544 0.8914 0.5381
O 0.4250 0.1037 0.7951
O 0.4297 0.6672 0.1281
O 0.4429 0.5107 0.3909
O 0.5571 0.5107 0.6091
O 0.5703 0.6672 0.8719
O 0.5750 0.1037 0.2049
O 0.6456 0.8914 0.4619
O 0.6598 0.1617 0.9424
O 0.7166 0.9895 0.7246
O 0.7834 0.4892 0.2757
O 0.8403 0.6617 0.0578
O 0.8548 0.3924 0.5386
O 0.9250 0.6034 0.7947
O 0.9297 0.1674 0.1281
O 0.9425 0.0114 0.3911

---

Question: Which value of final energy does entry 2 give?
Answer: -5.8909 eV/atom